*one*
DFT (PBE with a Hubbard U) results for LiNiP2O7 after structural relaxation.

Values from the calculation:
Size of the total moment   4.00 Bohr magnetons per cell
Crystal system   monoclinic
V   117.51 Å³/f.u.

a = 7.8842 Å, b = 6.8191 Å, c = 9.3576 Å
α = 69.12°, β = 90.00°, γ = 90.00°
Last column: nearest neighbours and their distance in Å.
Sites, in units of the cell vectors:
P (0.5407, 0.3446, 0.7020)  4 O 1.53-1.62
P (0.9153, 0.7410, 0.8008)  4 O 1.52-1.63
O (0.5821, 0.2503, 0.1325)  1 P 1.55
P (0.4153, 0.7590, 0.6992)  4 O 1.52-1.63
Ni (0.2677, 0.2250, 0.5018)  4 O 1.87-1.97
O (0.5977, 0.4849, 0.2893)  2 P 1.62-1.63
O (0.9179, 0.7503, 0.6325)  1 P 1.55
O (0.6884, 0.4515, 0.5980)  1 P 1.53
O (0.3116, 0.5485, 0.4020)  1 P 1.53
Ni (0.7323, 0.7750, 0.4982)  4 O 1.87-1.97
O (0.0916, 0.6613, 0.8637)  1 P 1.53
P (0.5847, 0.2410, 0.3008)  4 O 1.52-1.63
Li (0.3739, 0.1659, 0.0301)  4 O 2.05-2.22
Li (0.8739, 0.3341, 0.4699)  4 O 2.05-2.22
O (0.0821, 0.2497, 0.3675)  1 P 1.55
Ni (0.2323, 0.7250, 0.0018)  4 O 1.87-1.97
O (0.0977, 0.0151, 0.2107)  2 P 1.62-1.63
O (0.9399, 0.3073, 0.8522)  1 P 1.53
P (0.9593, 0.8446, 0.2020)  4 O 1.53-1.62
O (0.2350, 0.3673, 0.1016)  1 P 1.52
O (0.7650, 0.6327, 0.8984)  1 P 1.52
O (0.4023, 0.5151, 0.7107)  2 P 1.62-1.63
Li (0.6261, 0.8341, 0.9699)  4 O 2.05-2.22
O (0.7350, 0.1327, 0.3984)  1 P 1.52
O (0.5920, 0.2140, 0.8703)  1 P 1.56
O (0.9084, 0.3387, 0.1363)  1 P 1.53
Li (0.1261, 0.6659, 0.5301)  4 O 2.05-2.22
O (0.0601, 0.6927, 0.1478)  1 P 1.53
O (0.8116, 0.9515, 0.0980)  1 P 1.53
O (0.1884, 0.0485, 0.9020)  1 P 1.53
O (0.2650, 0.8673, 0.6016)  1 P 1.52
Ni (0.7677, 0.2750, 0.9982)  4 O 1.87-1.97
O (0.5601, 0.8073, 0.3522)  1 P 1.53
O (0.4399, 0.1927, 0.6478)  1 P 1.53
O (0.9023, 0.9849, 0.7893)  2 P 1.62-1.63
O (0.9080, 0.7140, 0.3703)  1 P 1.56
O (0.0920, 0.2860, 0.6297)  1 P 1.56
P (0.4593, 0.6554, 0.2980)  4 O 1.53-1.62
O (0.4084, 0.1613, 0.3637)  1 P 1.53
O (0.4080, 0.7860, 0.1297)  1 P 1.56
P (0.0847, 0.2590, 0.1992)  4 O 1.52-1.63
P (0.0407, 0.1554, 0.7980)  4 O 1.53-1.62
O (0.4179, 0.7497, 0.8675)  1 P 1.55
O (0.5916, 0.8387, 0.6363)  1 P 1.53

*two*
DFT (PBE with a Hubbard U) results for LiNiP2O7 after structural relaxation.

Values from the calculation:
Size of the total moment   3.00 Bohr magnetons per cell
Crystal system   monoclinic
V   122.25 Å³/f.u.

a = 5.2967 Å, b = 5.2967 Å, c = 4.5821 Å
α = 81.52°, β = 81.52°, γ = 101.98°
Last column: nearest neighbours and their distance in Å.
Sites, in units of the cell vectors:
Li (0.4882, 0.5118, 0.0000)  4 O 2.07-2.15
O (0.8946, 0.6042, 0.7882)  1 P 1.55
O (0.7621, 0.8707, 0.2482)  1 P 1.53
O (0.4286, 0.8267, 0.7151)  1 P 1.52
P (0.5720, 0.0026, 0.4193)  4 O 1.52-1.62
O (0.1733, 0.5714, 0.2849)  1 P 1.52
O (0.3958, 0.1054, 0.2118)  1 P 1.55
O (0.1293, 0.2379, 0.7518)  1 P 1.53
P (0.9974, 0.4280, 0.5807)  4 O 1.52-1.62
O (0.7276, 0.2724, 0.5000)  2 P 1.62
Ni (0.1185, 0.8815, 0.0000)  6 O 2.04-2.13

*three*
DFT (PBE with a Hubbard U) results for LiNiP2O7 after structural relaxation.

Values from the calculation:
Size of the total moment   12.00 Bohr magnetons per cell
Crystal system   monoclinic
V   125.65 Å³/f.u.

a = 6.3472 Å, b = 6.3470 Å, c = 13.2888 Å
α = 78.84°, β = 77.93°, γ = 99.06°
Last column: nearest neighbours and their distance in Å.
Sites, in units of the cell vectors:
O (0.7026, 0.3900, 0.5221)  1 P 1.53
O (0.5430, 0.1004, 0.1848)  1 P 1.54
O (0.8761, 0.9819, 0.6930)  1 P 1.52
Ni (0.7721, 0.3996, 0.3585)  6 O 2.02-2.12
O (0.0972, 0.2085, 0.5197)  2 P 1.61
O (0.7851, 0.7277, 0.3152)  1 P 1.54
O (0.4418, 0.3390, 0.3717)  1 P 1.53
O (0.3112, 0.4490, 0.1492)  1 P 1.54
P (0.2282, 0.7496, 0.8640)  4 O 1.52-1.61
P (0.6551, 0.3282, 0.9284)  4 O 1.53-1.61
O (0.4122, 0.2248, 0.9779)  1 P 1.53
Ni (0.7418, 0.8695, 0.8585)  6 O 2.02-2.12
O (0.2723, 0.9349, 0.6218)  1 P 1.53
O (0.7894, 0.1865, 0.8718)  1 P 1.53
O (0.5878, 0.7752, 0.0221)  1 P 1.53
O (0.0982, 0.4604, 0.3509)  1 P 1.54
O (0.0566, 0.8939, 0.8783)  1 P 1.53
Li (0.5829, 0.9801, 0.6538)  4 O 2.03-2.10
P (0.7718, 0.2504, 0.1360)  4 O 1.52-1.61
O (0.6888, 0.5510, 0.8508)  1 P 1.54
P (0.1136, 0.0922, 0.6361)  4 O 1.52-1.61
Li (0.4171, 0.0199, 0.3462)  4 O 2.03-2.10
O (0.7277, 0.0651, 0.3782)  1 P 1.53
Ni (0.2582, 0.1305, 0.1415)  6 O 2.02-2.12
O (0.4570, 0.8996, 0.8152)  1 P 1.54
O (0.2974, 0.6100, 0.4779)  1 P 1.53
O (0.1239, 0.0181, 0.3070)  1 P 1.52
P (0.8864, 0.9078, 0.3639)  4 O 1.52-1.61
O (0.2106, 0.8135, 0.1282)  1 P 1.53
O (0.8251, 0.4309, 0.1930)  1 P 1.52
O (0.7719, 0.3832, 0.0197)  2 P 1.61
Ni (0.2279, 0.6004, 0.6415)  6 O 2.02-2.12
O (0.2149, 0.2723, 0.6848)  1 P 1.54
P (0.3449, 0.6718, 0.0716)  4 O 1.53-1.61
O (0.5582, 0.6610, 0.6283)  1 P 1.53
O (0.2281, 0.6168, 0.9803)  2 P 1.61
Li (0.1339, 0.2364, 0.8463)  4 O 2.04-2.10
Li (0.8661, 0.7636, 0.1537)  4 O 2.04-2.10
P (0.7566, 0.5835, 0.5715)  4 O 1.53-1.61
P (0.2434, 0.4165, 0.4285)  4 O 1.53-1.61
O (0.9018, 0.5396, 0.6491)  1 P 1.54
O (0.9434, 0.1061, 0.1217)  1 P 1.53
O (0.9028, 0.7915, 0.4803)  2 P 1.61
O (0.1749, 0.5691, 0.8070)  1 P 1.52

*four*
DFT (PBE with a Hubbard U) results for LiNiP2O7 after structural relaxation.

Values from the calculation:
Size of the total moment   2.00 Bohr magnetons per cell
Crystal system   triclinic
V   133.15 Å³/f.u.

a = 5.0326 Å, b = 6.8268 Å, c = 8.3918 Å
α = 67.61°, β = 87.90°, γ = 87.74°
Last column: nearest neighbours and their distance in Å.
Sites, in units of the cell vectors:
O (0.1457, 0.2891, 0.4670)  1 P 1.53
O (0.5974, 0.0519, 0.6889)  1 P 1.54
P (0.7161, 0.5506, 0.6879)  4 O 1.52-1.61
Li (0.2760, 0.8242, 0.0033)  4 O 1.92-2.01
Ni (0.7572, 0.7806, 0.2701)  6 O 2.02-2.15
O (0.1236, 0.6624, 0.2263)  1 P 1.53
O (0.2830, 0.3609, 0.1546)  2 P 1.60-1.65
O (0.9547, 0.0652, 0.2436)  1 P 1.54
P (0.2375, 0.1240, 0.1696)  4 O 1.52-1.60
P (0.7655, 0.8875, 0.8301)  4 O 1.53-1.63
Ni (0.2436, 0.2150, 0.7205)  6 O 2.02-2.12
Li (0.7827, 0.1739, 0.4392)  4 O 2.07-2.20
O (0.5743, 0.4838, 0.3343)  1 P 1.53
O (0.8215, 0.7165, 0.5212)  1 P 1.52
P (0.2810, 0.4537, 0.3093)  4 O 1.53-1.65
O (0.4450, 0.9789, 0.2915)  1 P 1.53
O (0.4307, 0.4873, 0.6788)  1 P 1.53
O (0.7103, 0.6539, 0.8314)  2 P 1.61-1.63
O (0.8915, 0.3503, 0.7608)  1 P 1.53
O (0.2720, 0.1252, 0.9883)  1 P 1.52
O (0.0642, 0.9225, 0.7966)  1 P 1.53
O (0.6672, 0.8588, 0.0122)  1 P 1.53

It is *three* that is most stable; the runner-up trails by 0.006 eV/atom.

*one*
DFT (PBE with a Hubbard U) results for LiNi3P3O11 after structural relaxation.

Values from the calculation:
Size of the total moment   24.00 Bohr magnetons per cell
Crystal system   monoclinic
V   203.82 Å³/f.u.

a = 9.5155 Å, b = 9.7417 Å, c = 10.1241 Å
α = 60.31°, β = 90.00°, γ = 90.00°
Last column: nearest neighbours and their distance in Å.
Sites, in units of the cell vectors:
P (0.9389, 0.5948, 0.2576)  4 O 1.50-1.68
O (0.0020, 0.0847, 0.0843)  1 P 1.59
O (0.4805, 0.2678, 0.6962)  1 P 1.52
O (0.4996, 0.8884, 0.9356)  1 P 1.53
P (0.0746, 0.2380, 0.0720)  4 O 1.52-1.59
O (0.0004, 0.8884, 0.4356)  1 P 1.53
O (0.9714, 0.5431, 0.6366)  1 P 1.50
O (0.2279, 0.8788, 0.2962)  1 P 1.58
O (0.9761, 0.6183, 0.0854)  2 P 1.59-1.68
Ni (0.6319, 0.9174, 0.7644)  6 O 2.03-2.21
O (0.4980, 0.0847, 0.5843)  1 P 1.59
Ni (0.8724, 0.0940, 0.8993)  6 O 2.00-2.21
Li (0.3215, 0.6809, 0.2980)  3 O 1.93-2.12
O (0.7248, 0.2355, 0.9137)  1 P 1.54
O (0.4761, 0.3817, 0.4146)  2 P 1.59-1.68
P (0.5611, 0.5948, 0.7576)  4 O 1.50-1.68
O (0.7193, 0.5779, 0.7729)  1 P 1.51
O (0.7752, 0.2355, 0.4137)  1 P 1.54
O (0.5239, 0.6183, 0.5854)  2 P 1.59-1.68
O (0.7721, 0.1212, 0.7038)  1 P 1.58
O (0.2193, 0.4221, 0.7271)  1 P 1.51
O (0.5286, 0.5431, 0.1366)  1 P 1.50
O (0.5004, 0.1116, 0.0644)  1 P 1.53
P (0.3383, 0.8894, 0.9340)  4 O 1.53-1.60
Li (0.8215, 0.3191, 0.2020)  3 O 1.93-2.12
O (0.7807, 0.5779, 0.2729)  1 P 1.51
O (0.2290, 0.0512, 0.4099)  1 P 1.60
O (0.4864, 0.2463, 0.2549)  1 P 1.56
O (0.9864, 0.7537, 0.2451)  1 P 1.56
Ni (0.3659, 0.2708, 0.8728)  6 O 2.03-2.20
O (0.0239, 0.3817, 0.9146)  2 P 1.59-1.68
P (0.6617, 0.1106, 0.0660)  4 O 1.53-1.60
O (0.7279, 0.1212, 0.2038)  1 P 1.58
Ni (0.8659, 0.7292, 0.6272)  6 O 2.03-2.20
P (0.9254, 0.7620, 0.9280)  4 O 1.52-1.59
O (0.2248, 0.7645, 0.5863)  1 P 1.54
P (0.4389, 0.4052, 0.2424)  4 O 1.50-1.68
O (0.5195, 0.7322, 0.3038)  1 P 1.52
Li (0.6785, 0.3191, 0.7020)  3 O 1.93-2.12
Ni (0.8681, 0.9174, 0.2644)  6 O 2.03-2.21
O (0.7650, 0.7749, 0.9346)  1 P 1.54
O (0.0136, 0.2463, 0.7549)  1 P 1.56
Ni (0.1341, 0.2708, 0.3728)  6 O 2.03-2.20
Ni (0.6276, 0.0940, 0.3993)  6 O 2.00-2.21
O (0.7290, 0.9488, 0.0901)  1 P 1.60
P (0.5746, 0.7620, 0.4280)  4 O 1.52-1.59
O (0.2350, 0.2251, 0.0654)  1 P 1.54
O (0.5137, 0.7537, 0.7451)  1 P 1.56
Ni (0.3724, 0.9060, 0.6007)  6 O 2.00-2.21
O (0.2807, 0.4221, 0.2271)  1 P 1.51
Ni (0.3681, 0.0826, 0.2356)  6 O 2.03-2.21
O (0.0195, 0.2678, 0.1962)  1 P 1.52
O (0.2710, 0.0512, 0.9099)  1 P 1.60
Ni (0.1277, 0.9060, 0.1007)  6 O 2.00-2.21
O (0.4714, 0.4569, 0.8634)  1 P 1.50
O (0.7350, 0.7749, 0.4346)  1 P 1.54
O (0.2721, 0.8788, 0.7962)  1 P 1.58
P (0.1617, 0.8894, 0.4340)  4 O 1.53-1.60
O (0.9805, 0.7322, 0.8038)  1 P 1.52
O (0.9980, 0.9153, 0.9157)  1 P 1.59
O (0.9996, 0.1116, 0.5644)  1 P 1.53
O (0.0286, 0.4569, 0.3634)  1 P 1.50
O (0.2752, 0.7645, 0.0863)  1 P 1.54
O (0.7710, 0.9488, 0.5901)  1 P 1.60
Ni (0.6341, 0.7292, 0.1272)  6 O 2.03-2.20
O (0.2650, 0.2251, 0.5654)  1 P 1.54
P (0.4254, 0.2380, 0.5720)  4 O 1.52-1.59
O (0.5020, 0.9153, 0.4157)  1 P 1.59
Ni (0.1319, 0.0826, 0.7356)  6 O 2.03-2.21
Li (0.1785, 0.6809, 0.7980)  3 O 1.93-2.12
P (0.8383, 0.1106, 0.5660)  4 O 1.53-1.60
P (0.0611, 0.4052, 0.7424)  4 O 1.50-1.68

*two*
DFT (PBE with a Hubbard U) results for LiNi3P3O11 after structural relaxation.

Values from the calculation:
Size of the total moment   24.00 Bohr magnetons per cell
Crystal system   monoclinic
V   191.48 Å³/f.u.

a = 8.9451 Å, b = 7.7292 Å, c = 11.1964 Å
α = 81.66°, β = 90.00°, γ = 90.00°
Last column: nearest neighbours and their distance in Å.
Sites, in units of the cell vectors:
Li (0.7387, 0.8872, 0.5040)  6 O 2.53-2.80
O (0.2248, 0.1258, 0.7306)  1 P 1.51
O (0.4980, 0.6815, 0.7844)  1 P 1.60
Ni (0.8711, 0.0748, 0.7406)  6 O 2.02-2.18
Ni (0.6289, 0.0748, 0.2406)  6 O 2.02-2.18
P (0.4359, 0.7767, 0.1470)  4 O 1.52-1.67
P (0.4307, 0.7843, 0.4033)  4 O 1.51-1.67
Ni (0.3774, 0.5681, 0.6590)  5 O 1.97-2.13
O (0.7365, 0.2081, 0.8536)  1 P 1.55
P (0.1761, 0.3150, 0.7100)  4 O 1.51-1.60
O (0.7428, 0.2148, 0.6022)  1 P 1.55
Ni (0.1226, 0.5681, 0.1590)  5 O 1.97-2.13
O (0.5193, 0.3156, 0.7137)  2 P 1.67
O (0.2428, 0.7852, 0.8978)  1 P 1.55
P (0.5693, 0.2157, 0.5967)  4 O 1.51-1.67
O (0.7540, 0.5709, 0.2008)  1 P 1.56
O (0.4807, 0.6844, 0.2863)  2 P 1.67
O (0.0099, 0.6746, 0.0159)  1 P 1.51
O (0.4871, 0.6507, 0.0607)  1 P 1.54
O (0.5099, 0.3254, 0.4841)  1 P 1.51
O (0.0129, 0.6507, 0.5607)  1 P 1.54
O (0.5129, 0.3493, 0.9393)  1 P 1.54
Ni (0.1289, 0.9252, 0.2594)  6 O 2.02-2.18
O (0.9980, 0.3185, 0.7156)  1 P 1.60
P (0.3239, 0.3150, 0.2100)  4 O 1.51-1.60
Ni (0.8606, 0.4514, 0.5687)  6 O 2.05-2.19
Ni (0.6226, 0.4319, 0.3410)  5 O 1.97-2.13
O (0.7460, 0.5709, 0.7008)  1 P 1.56
O (0.9901, 0.3254, 0.9841)  1 P 1.51
O (0.2572, 0.7852, 0.3978)  1 P 1.55
O (0.9807, 0.3156, 0.2137)  2 P 1.67
P (0.9307, 0.2157, 0.0967)  4 O 1.51-1.67
P (0.5641, 0.2233, 0.8530)  4 O 1.52-1.67
P (0.0693, 0.7843, 0.9033)  4 O 1.51-1.67
O (0.7248, 0.8742, 0.7694)  1 P 1.51
Li (0.7613, 0.8872, 0.0040)  6 O 2.53-2.80
O (0.4804, 0.0514, 0.8786)  1 P 1.52
Ni (0.8774, 0.4319, 0.8410)  5 O 1.97-2.13
O (0.2752, 0.1258, 0.2306)  1 P 1.51
O (0.4967, 0.0357, 0.6180)  1 P 1.52
O (0.0196, 0.0514, 0.3786)  1 P 1.52
O (0.2635, 0.7919, 0.1464)  1 P 1.55
O (0.7667, 0.5953, 0.4175)  1 P 1.58
P (0.6761, 0.6850, 0.7900)  4 O 1.51-1.60
O (0.2460, 0.4291, 0.7992)  1 P 1.56
Ni (0.1394, 0.5486, 0.4313)  6 O 2.05-2.19
O (0.2365, 0.7919, 0.6464)  1 P 1.55
Li (0.2613, 0.1128, 0.4960)  6 O 2.53-2.80
O (0.9871, 0.3493, 0.4393)  1 P 1.54
O (0.2667, 0.4047, 0.0825)  1 P 1.58
O (0.9967, 0.9643, 0.8820)  1 P 1.52
O (0.2333, 0.4047, 0.5825)  1 P 1.58
O (0.2540, 0.4291, 0.2992)  1 P 1.56
O (0.4901, 0.6746, 0.5159)  1 P 1.51
O (0.0020, 0.6815, 0.2844)  1 P 1.60
Li (0.2387, 0.1128, 0.9960)  6 O 2.53-2.80
O (0.7333, 0.5953, 0.9175)  1 P 1.58
Ni (0.3711, 0.9252, 0.7594)  6 O 2.02-2.18
O (0.7752, 0.8742, 0.2694)  1 P 1.51
O (0.0033, 0.0357, 0.1180)  1 P 1.52
P (0.9359, 0.2233, 0.3530)  4 O 1.52-1.67
O (0.5033, 0.9643, 0.3820)  1 P 1.52
O (0.9804, 0.9486, 0.6214)  1 P 1.52
P (0.0641, 0.7767, 0.6470)  4 O 1.52-1.67
O (0.7572, 0.2148, 0.1022)  1 P 1.55
P (0.8239, 0.6850, 0.2900)  4 O 1.51-1.60
O (0.5196, 0.9486, 0.1214)  1 P 1.52
Ni (0.3606, 0.5486, 0.9313)  6 O 2.05-2.19
O (0.7635, 0.2081, 0.3536)  1 P 1.55
Ni (0.6394, 0.4514, 0.0687)  6 O 2.05-2.19
O (0.0193, 0.6844, 0.7863)  2 P 1.67
O (0.5020, 0.3185, 0.2156)  1 P 1.60

It is *one* that is most stable; the runner-up trails by 0.052 eV/atom.